# LaFeSi2 (GGA-PBE, relaxed)
data_LaFeSi2
_cell_length_a 8.799
_cell_length_b 8.799
_cell_length_c 4.056
_cell_angle_alpha 90.00
_cell_angle_beta 90.00
_cell_angle_gamma 152.63
_space_group_name_H-M_alt 'P 1'
_space_group_IT_number 1
_space_group_name_Hall 'P 1'
loop_
_atom_site_label
_atom_site_type_symbol
_atom_site_fract_x
_atom_site_fract_y
_atom_site_fract_z
La1 La 0.108 0.892 0.750
La2 La 0.892 0.108 0.250
Fe1 Fe 0.250 0.750 0.250
Fe2 Fe 0.750 0.250 0.750
Si1 Si 0.310 0.690 0.750
Si2 Si 0.463 0.537 0.750
Si3 Si 0.537 0.463 0.250
Si4 Si 0.690 0.310 0.250
# Electronic total energy, eV per atom: -6.72

# LaFeSi (GGA-PBE, relaxed)
data_LaFeSi
_cell_length_a 4.101
_cell_length_b 4.101
_cell_length_c 7.180
_cell_angle_alpha 90.00
_cell_angle_beta 90.00
_cell_angle_gamma 90.00
_space_group_name_H-M_alt 'P 1'
_space_group_IT_number 1
_space_group_name_Hall 'P 1'
loop_
_atom_site_label
_atom_site_type_symbol
_atom_site_fract_x
_atom_site_fract_y
_atom_site_fract_z
La1 La 0.250 0.250 0.192
La2 La 0.750 0.750 0.808
Fe1 Fe 0.250 0.750 0.500
Fe2 Fe 0.750 0.250 0.500
Si1 Si 0.250 0.250 0.655
Si2 Si 0.750 0.750 0.345
# Electronic total energy, eV per atom: -6.86

# Li3Fe (GGA-PBE, relaxed)
data_Li3Fe
_cell_length_a 5.574
_cell_length_b 5.574
_cell_length_c 4.560
_cell_angle_alpha 90.00
_cell_angle_beta 90.00
_cell_angle_gamma 120.00
_space_group_name_H-M_alt 'P 1'
_space_group_IT_number 1
_space_group_name_Hall 'P 1'
loop_
_atom_site_label
_atom_site_type_symbol
_atom_site_fract_x
_atom_site_fract_y
_atom_site_fract_z
Li1 Li 0.173 0.346 0.250
Li2 Li 0.173 0.827 0.250
Li3 Li 0.346 0.173 0.750
Li4 Li 0.654 0.827 0.250
Li5 Li 0.827 0.173 0.750
Li6 Li 0.827 0.654 0.750
Fe1 Fe 0.333 0.667 0.750
Fe2 Fe 0.667 0.333 0.250
# Total moment, μB per formula unit: 2.40
# Electronic total energy, eV per atom: -3.14

# LiFe (GGA-PBE, relaxed)
data_LiFe
_cell_length_a 4.681
_cell_length_b 4.681
_cell_length_c 4.560
_cell_angle_alpha 90.00
_cell_angle_beta 90.00
_cell_angle_gamma 150.59
_space_group_name_H-M_alt 'P 1'
_space_group_IT_number 1
_space_group_name_Hall 'P 1'
loop_
_atom_site_label
_atom_site_type_symbol
_atom_site_fract_x
_atom_site_fract_y
_atom_site_fract_z
Li1 Li 0.000 0.000 0.000
Li2 Li 0.000 0.000 0.500
Fe1 Fe 0.257 0.743 0.750
Fe2 Fe 0.743 0.257 0.250
# Total moment, μB per formula unit: 2.04
# Electronic total energy, eV per atom: -4.91

# LiMg6Fe (GGA-PBE, relaxed)
data_LiMg6Fe
_cell_length_a 4.912
_cell_length_b 6.057
_cell_length_c 6.057
_cell_angle_alpha 62.30
_cell_angle_beta 90.00
_cell_angle_gamma 90.00
_space_group_name_H-M_alt 'P 1'
_space_group_IT_number 1
_space_group_name_Hall 'P 1'
loop_
_atom_site_label
_atom_site_type_symbol
_atom_site_fract_x
_atom_site_fract_y
_atom_site_fract_z
Li1 Li 0.000 0.000 0.000
Mg1 Mg 0.000 0.003 0.471
Mg2 Mg 0.000 0.471 0.003
Mg3 Mg 0.000 0.493 0.493
Mg4 Mg 0.500 0.166 0.680
Mg5 Mg 0.500 0.671 0.671
Mg6 Mg 0.500 0.680 0.166
Fe1 Fe 0.500 0.178 0.178
# Total moment, μB per formula unit: 2.61
# Electronic total energy, eV per atom: -2.36

# LiMg6Fe (GGA-PBE, relaxed)
data_LiMg6Fe
_cell_length_a 4.882
_cell_length_b 6.322
_cell_length_c 10.532
_cell_angle_alpha 90.00
_cell_angle_beta 90.00
_cell_angle_gamma 90.00
_space_group_name_H-M_alt 'P 1'
_space_group_IT_number 1
_space_group_name_Hall 'P 1'
loop_
_atom_site_label
_atom_site_type_symbol
_atom_site_fract_x
_atom_site_fract_y
_atom_site_fract_z
Mg1 Mg 0.000 0.000 0.672
Mg2 Mg 0.000 0.500 0.172
Mg3 Mg 0.000 0.259 0.410
Mg4 Mg 0.500 0.251 0.085
Mg5 Mg 0.500 0.751 0.585
Mg6 Mg 0.000 0.241 0.910
Mg7 Mg 0.000 0.000 0.168
Mg8 Mg 0.500 0.249 0.585
Mg9 Mg 0.500 0.749 0.085
Mg10 Mg 0.000 0.741 0.410
Mg11 Mg 0.000 0.500 0.668
Mg12 Mg 0.000 0.759 0.910
Li1 Li 0.500 0.500 0.835
Li2 Li 0.500 0.000 0.335
Fe1 Fe 0.500 0.500 0.335
Fe2 Fe 0.500 0.000 0.835
# Total moment, μB per formula unit: 2.50
# Electronic total energy, eV per atom: -2.35

# LiMg14Fe (GGA-PBE, relaxed)
data_LiMg14Fe
_cell_length_a 9.912
_cell_length_b 6.304
_cell_length_c 6.304
_cell_angle_alpha 60.60
_cell_angle_beta 90.00
_cell_angle_gamma 90.00
_space_group_name_H-M_alt 'P 1'
_space_group_IT_number 1
_space_group_name_Hall 'P 1'
loop_
_atom_site_label
_atom_site_type_symbol
_atom_site_fract_x
_atom_site_fract_y
_atom_site_fract_z
Li1 Li 0.000 0.000 0.000
Mg1 Mg 0.000 0.494 0.998
Mg2 Mg 0.000 0.998 0.494
Mg3 Mg 0.235 0.177 0.666
Mg4 Mg 0.235 0.666 0.177
Mg5 Mg 0.240 0.662 0.662
Mg6 Mg 0.251 0.166 0.166
Mg7 Mg 0.500 0.498 0.498
Mg8 Mg 0.500 0.502 0.998
Mg9 Mg 0.500 0.997 0.997
Mg10 Mg 0.500 0.998 0.502
Mg11 Mg 0.749 0.166 0.166
Mg12 Mg 0.760 0.662 0.662
Mg13 Mg 0.765 0.177 0.666
Mg14 Mg 0.765 0.666 0.177
Fe1 Fe 0.000 0.499 0.499
# Total moment, μB per formula unit: 2.63
# Electronic total energy, eV per atom: -1.98

# LiMg14Fe (GGA-PBE, relaxed)
data_LiMg14Fe
_cell_length_a 6.291
_cell_length_b 6.291
_cell_length_c 9.801
_cell_angle_alpha 90.00
_cell_angle_beta 90.00
_cell_angle_gamma 120.00
_space_group_name_H-M_alt 'P 1'
_space_group_IT_number 1
_space_group_name_Hall 'P 1'
loop_
_atom_site_label
_atom_site_type_symbol
_atom_site_fract_x
_atom_site_fract_y
_atom_site_fract_z
Li1 Li 0.000 0.000 0.000
Mg1 Mg 0.003 0.501 0.000
Mg2 Mg 0.160 0.320 0.259
Mg3 Mg 0.160 0.320 0.741
Mg4 Mg 0.160 0.840 0.259
Mg5 Mg 0.160 0.840 0.741
Mg6 Mg 0.499 0.501 0.000
Mg7 Mg 0.499 0.997 0.000
Mg8 Mg 0.501 0.001 0.500
Mg9 Mg 0.501 0.499 0.500
Mg10 Mg 0.667 0.333 0.247
Mg11 Mg 0.667 0.333 0.753
Mg12 Mg 0.680 0.840 0.259
Mg13 Mg 0.680 0.840 0.741
Mg14 Mg 0.999 0.499 0.500
Fe1 Fe 0.000 0.000 0.500
# Total moment, μB per formula unit: 0.00
# Electronic total energy, eV per atom: -1.94

# LiFeN (GGA-PBE, relaxed)
data_LiFeN
_cell_length_a 9.354
_cell_length_b 2.882
_cell_length_c 4.333
_cell_angle_alpha 90.00
_cell_angle_beta 90.00
_cell_angle_gamma 90.00
_space_group_name_H-M_alt 'P 1'
_space_group_IT_number 1
_space_group_name_Hall 'P 1'
loop_
_atom_site_label
_atom_site_type_symbol
_atom_site_fract_x
_atom_site_fract_y
_atom_site_fract_z
Li1 Li 0.001 0.250 0.237
Li2 Li 0.499 0.750 0.737
Li3 Li 0.501 0.250 0.263
Li4 Li 0.999 0.750 0.763
Fe1 Fe 0.242 0.750 0.043
Fe2 Fe 0.258 0.250 0.543
Fe3 Fe 0.742 0.750 0.457
Fe4 Fe 0.758 0.250 0.957
N1 N 0.147 0.250 0.884
N2 N 0.353 0.750 0.384
N3 N 0.647 0.250 0.616
N4 N 0.853 0.750 0.116
# Electronic total energy, eV per atom: -6.58

# Li6FeN4 (GGA-PBE, relaxed)
data_Li6FeN4
_cell_length_a 6.477
_cell_length_b 6.477
_cell_length_c 4.901
_cell_angle_alpha 90.00
_cell_angle_beta 90.00
_cell_angle_gamma 90.00
_space_group_name_H-M_alt 'P 1'
_space_group_IT_number 1
_space_group_name_Hall 'P 1'
loop_
_atom_site_label
_atom_site_type_symbol
_atom_site_fract_x
_atom_site_fract_y
_atom_site_fract_z
Li1 Li 0.035 0.535 0.250
Li2 Li 0.035 0.965 0.250
Li3 Li 0.250 0.250 0.138
Li4 Li 0.250 0.250 0.638
Li5 Li 0.465 0.535 0.250
Li6 Li 0.465 0.965 0.250
Li7 Li 0.535 0.035 0.750
Li8 Li 0.535 0.465 0.750
Li9 Li 0.750 0.750 0.362
Li10 Li 0.750 0.750 0.862
Li11 Li 0.965 0.035 0.750
Li12 Li 0.965 0.465 0.750
Fe1 Fe 0.250 0.750 0.750
Fe2 Fe 0.750 0.250 0.250
N1 N 0.016 0.750 0.565
N2 N 0.250 0.516 0.935
N3 N 0.250 0.984 0.935
N4 N 0.484 0.750 0.565
N5 N 0.516 0.250 0.435
N6 N 0.750 0.016 0.065
N7 N 0.750 0.484 0.065
N8 N 0.984 0.250 0.435
# Total moment, μB per formula unit: 2.00
# Electronic total energy, eV per atom: -5.26

# Li3FeN2 (GGA-PBE, relaxed)
data_Li3FeN2
_cell_length_a 5.817
_cell_length_b 5.817
_cell_length_c 5.817
_cell_angle_alpha 131.25
_cell_angle_beta 70.26
_cell_angle_gamma 132.72
_space_group_name_H-M_alt 'P 1'
_space_group_IT_number 1
_space_group_name_Hall 'P 1'
loop_
_atom_site_label
_atom_site_type_symbol
_atom_site_fract_x
_atom_site_fract_y
_atom_site_fract_z
Li1 Li 0.007 0.250 0.757
Li2 Li 0.250 0.250 0.000
Li3 Li 0.493 0.250 0.243
Li4 Li 0.507 0.750 0.757
Li5 Li 0.750 0.750 0.000
Li6 Li 0.993 0.750 0.243
Fe1 Fe 0.250 0.750 0.500
Fe2 Fe 0.750 0.250 0.500
N1 N 0.114 0.720 0.834
N2 N 0.386 0.220 0.606
N3 N 0.614 0.780 0.394
N4 N 0.886 0.280 0.166
# Electronic total energy, eV per atom: -5.54

# LiFeN (GGA-PBE, relaxed)
data_LiFeN
_cell_length_a 3.101
_cell_length_b 3.101
_cell_length_c 4.145
_cell_angle_alpha 90.00
_cell_angle_beta 90.00
_cell_angle_gamma 120.00
_space_group_name_H-M_alt 'P 1'
_space_group_IT_number 1
_space_group_name_Hall 'P 1'
loop_
_atom_site_label
_atom_site_type_symbol
_atom_site_fract_x
_atom_site_fract_y
_atom_site_fract_z
Li1 Li 0.000 0.000 0.000
Fe1 Fe 0.333 0.667 0.500
N1 N 0.000 0.000 0.500
# Total moment, μB per formula unit: 0.26
# Electronic total energy, eV per atom: -6.39

# Li18Fe5N12 (GGA-PBE, relaxed)
data_Li18Fe5N12
_cell_length_a 6.741
_cell_length_b 9.526
_cell_length_c 10.583
_cell_angle_alpha 90.00
_cell_angle_beta 107.80
_cell_angle_gamma 90.00
_space_group_name_H-M_alt 'P 1'
_space_group_IT_number 1
_space_group_name_Hall 'P 1'
loop_
_atom_site_label
_atom_site_type_symbol
_atom_site_fract_x
_atom_site_fract_y
_atom_site_fract_z
Li1 Li 0.000 0.003 0.250
Li2 Li 0.000 0.244 0.250
Li3 Li 0.000 0.488 0.250
Li4 Li 0.000 0.512 0.750
Li5 Li 0.000 0.756 0.750
Li6 Li 0.000 0.997 0.750
Li7 Li 0.163 0.006 0.086
Li8 Li 0.163 0.994 0.586
Li9 Li 0.171 0.491 0.078
Li10 Li 0.171 0.509 0.578
Li11 Li 0.219 0.248 0.108
Li12 Li 0.219 0.752 0.608
Li13 Li 0.332 0.013 0.918
Li14 Li 0.332 0.987 0.418
Li15 Li 0.334 0.253 0.913
Li16 Li 0.334 0.747 0.413
Li17 Li 0.337 0.491 0.914
Li18 Li 0.337 0.509 0.414
Li19 Li 0.500 0.033 0.250
Li20 Li 0.500 0.252 0.750
Li21 Li 0.500 0.461 0.250
Li22 Li 0.500 0.539 0.750
Li23 Li 0.500 0.748 0.250
Li24 Li 0.500 0.967 0.750
Li25 Li 0.663 0.491 0.586
Li26 Li 0.663 0.509 0.086
Li27 Li 0.666 0.253 0.587
Li28 Li 0.666 0.747 0.087
Li29 Li 0.668 0.013 0.582
Li30 Li 0.668 0.987 0.082
Li31 Li 0.781 0.248 0.392
Li32 Li 0.781 0.752 0.892
Li33 Li 0.829 0.491 0.422
Li34 Li 0.829 0.509 0.922
Li35 Li 0.837 0.006 0.414
Li36 Li 0.837 0.994 0.914
Fe1 Fe 0.000 0.253 0.750
Fe2 Fe 0.000 0.747 0.250
Fe3 Fe 0.153 0.251 0.578
Fe4 Fe 0.153 0.749 0.078
Fe5 Fe 0.339 0.248 0.410
Fe6 Fe 0.339 0.752 0.910
Fe7 Fe 0.661 0.248 0.090
Fe8 Fe 0.661 0.752 0.590
Fe9 Fe 0.847 0.251 0.922
Fe10 Fe 0.847 0.749 0.422
N1 N 0.068 0.140 0.910
N2 N 0.068 0.860 0.410
N3 N 0.106 0.361 0.423
N4 N 0.106 0.639 0.923
N5 N 0.226 0.365 0.733
N6 N 0.226 0.635 0.233
N7 N 0.254 0.129 0.270
N8 N 0.254 0.871 0.770
N9 N 0.388 0.140 0.569
N10 N 0.388 0.860 0.069
N11 N 0.442 0.366 0.076
N12 N 0.442 0.634 0.576
N13 N 0.558 0.366 0.424
N14 N 0.558 0.634 0.924
N15 N 0.612 0.140 0.931
N16 N 0.612 0.860 0.431
N17 N 0.746 0.129 0.230
N18 N 0.746 0.871 0.730
N19 N 0.774 0.365 0.767
N20 N 0.774 0.635 0.267
N21 N 0.894 0.361 0.077
N22 N 0.894 0.639 0.577
N23 N 0.932 0.140 0.590
N24 N 0.932 0.860 0.090
# Total moment, μB per formula unit: 8.11
# Electronic total energy, eV per atom: -5.43

# Sr2LiFe2N3 (GGA-PBE, relaxed)
data_Sr2LiFe2N3
_cell_length_a 6.509
_cell_length_b 6.509
_cell_length_c 6.551
_cell_angle_alpha 91.10
_cell_angle_beta 91.10
_cell_angle_gamma 119.70
_space_group_name_H-M_alt 'P 1'
_space_group_IT_number 1
_space_group_name_Hall 'P 1'
loop_
_atom_site_label
_atom_site_type_symbol
_atom_site_fract_x
_atom_site_fract_y
_atom_site_fract_z
Sr1 Sr 0.177 0.318 0.401
Sr2 Sr 0.318 0.177 0.901
Sr3 Sr 0.682 0.823 0.099
Sr4 Sr 0.823 0.682 0.599
Li1 Li 0.193 0.807 0.250
Li2 Li 0.807 0.193 0.750
Fe1 Fe 0.164 0.571 0.897
Fe2 Fe 0.429 0.836 0.603
Fe3 Fe 0.571 0.164 0.397
Fe4 Fe 0.836 0.429 0.103
N1 N 0.000 0.281 0.016
N2 N 0.000 0.719 0.984
N3 N 0.281 0.000 0.516
N4 N 0.410 0.590 0.750
N5 N 0.590 0.410 0.250
N6 N 0.719 0.000 0.484
# Total moment, μB per formula unit: 3.00
# Electronic total energy, eV per atom: -6.44

# LiFeP (GGA-PBE, relaxed)
data_LiFeP
_cell_length_a 4.612
_cell_length_b 4.612
_cell_length_c 4.612
_cell_angle_alpha 144.03
_cell_angle_beta 144.03
_cell_angle_gamma 51.78
_space_group_name_H-M_alt 'P 1'
_space_group_IT_number 1
_space_group_name_Hall 'P 1'
loop_
_atom_site_label
_atom_site_type_symbol
_atom_site_fract_x
_atom_site_fract_y
_atom_site_fract_z
Li1 Li 0.000 0.000 0.000
Fe1 Fe 0.695 0.695 0.000
P1 P 0.317 0.317 0.000
# Total moment, μB per formula unit: 0.00
# Electronic total energy, eV per atom: -5.60

# LiFeP (GGA-PBE, relaxed)
data_LiFeP
_cell_length_a 3.699
_cell_length_b 3.699
_cell_length_c 5.872
_cell_angle_alpha 90.00
_cell_angle_beta 90.00
_cell_angle_gamma 90.00
_space_group_name_H-M_alt 'P 1'
_space_group_IT_number 1
_space_group_name_Hall 'P 1'
loop_
_atom_site_label
_atom_site_type_symbol
_atom_site_fract_x
_atom_site_fract_y
_atom_site_fract_z
Li1 Li 0.250 0.250 0.152
Li2 Li 0.750 0.750 0.848
Fe1 Fe 0.250 0.750 0.500
Fe2 Fe 0.750 0.250 0.500
P1 P 0.250 0.250 0.707
P2 P 0.750 0.750 0.293
# Electronic total energy, eV per atom: -5.92

# Li2Fe12P7 (GGA-PBE, relaxed)
data_Li2Fe12P7
_cell_length_a 8.871
_cell_length_b 8.871
_cell_length_c 3.552
_cell_angle_alpha 90.00
_cell_angle_beta 90.00
_cell_angle_gamma 120.00
_space_group_name_H-M_alt 'P 1'
_space_group_IT_number 1
_space_group_name_Hall 'P 1'
loop_
_atom_site_label
_atom_site_type_symbol
_atom_site_fract_x
_atom_site_fract_y
_atom_site_fract_z
Li1 Li 0.000 0.000 0.000
Li2 Li 0.333 0.667 0.500
Fe1 Fe 0.056 0.766 0.500
Fe2 Fe 0.098 0.383 0.000
Fe3 Fe 0.234 0.291 0.500
Fe4 Fe 0.284 0.902 0.000
Fe5 Fe 0.390 0.217 0.000
Fe6 Fe 0.541 0.113 0.500
Fe7 Fe 0.573 0.459 0.500
Fe8 Fe 0.617 0.716 0.000
Fe9 Fe 0.709 0.944 0.500
Fe10 Fe 0.783 0.173 0.000
Fe11 Fe 0.827 0.610 0.000
Fe12 Fe 0.887 0.427 0.500
P1 P 0.081 0.620 0.000
P2 P 0.260 0.048 0.500
P3 P 0.380 0.461 0.000
P4 P 0.539 0.919 0.000
P5 P 0.667 0.333 0.000
P6 P 0.788 0.740 0.500
P7 P 0.952 0.212 0.500
# Electronic total energy, eV per atom: -7.34

# LiFeP (GGA-PBE, relaxed)
data_LiFeP
_cell_length_a 5.966
_cell_length_b 5.966
_cell_length_c 3.754
_cell_angle_alpha 90.00
_cell_angle_beta 90.00
_cell_angle_gamma 144.01
_space_group_name_H-M_alt 'P 1'
_space_group_IT_number 1
_space_group_name_Hall 'P 1'
loop_
_atom_site_label
_atom_site_type_symbol
_atom_site_fract_x
_atom_site_fract_y
_atom_site_fract_z
Li1 Li 0.081 0.919 0.750
Li2 Li 0.919 0.081 0.250
Fe1 Fe 0.249 0.751 0.250
Fe2 Fe 0.751 0.249 0.750
P1 P 0.355 0.645 0.750
P2 P 0.645 0.355 0.250
# Total moment, μB per formula unit: 0.00
# Electronic total energy, eV per atom: -5.83

# Li2FeP2S6 (GGA-PBE, relaxed)
data_Li2FeP2S6
_cell_length_a 6.024
_cell_length_b 6.024
_cell_length_c 6.675
_cell_angle_alpha 90.15
_cell_angle_beta 90.15
_cell_angle_gamma 120.03
_space_group_name_H-M_alt 'P 1'
_space_group_IT_number 1
_space_group_name_Hall 'P 1'
loop_
_atom_site_label
_atom_site_type_symbol
_atom_site_fract_x
_atom_site_fract_y
_atom_site_fract_z
Li1 Li 0.000 0.000 0.000
Li2 Li 0.000 0.000 0.500
Fe1 Fe 0.327 0.673 0.000
P1 P 0.667 0.331 0.833
P2 P 0.669 0.333 0.167
S1 S 0.002 0.344 0.763
S2 S 0.007 0.657 0.240
S3 S 0.342 0.343 0.241
S4 S 0.343 0.993 0.760
S5 S 0.656 0.998 0.237
S6 S 0.657 0.658 0.759
# Total moment, μB per formula unit: 4.00
# Electronic total energy, eV per atom: -4.93